(1)
Mn2As2O7 | the Materials Project | r²SCAN | relaxed; crystal system = triclinic; ΔE_f = -1.6754 eV per atom; calculated total energy = -10.82 eV/atom
1.0
-0.0093 -0.0014 -4.8297
-3.2833 -4.3808 0.7466
-3.2861 4.3832 0.7491
Mn As O
2 2 7
direct
0.5034 0.6966 0.3056
0.5048 0.3112 0.6914
0.9094 0.2292 0.2346
0.0989 0.7684 0.7736
0.7143 0.0819 0.4046
0.7201 0.3855 0.0678
0.2878 0.9351 0.6172
0.2937 0.5977 0.9203
0.2273 0.4011 0.3938
0.7808 0.6099 0.6020
0.0050 0.9674 0.0360


(2)
MnAs2O4 | the Materials Project | r²SCAN | relaxed; crystal system = tetragonal; ΔE_f = -1.5082 eV per atom; calculated total energy = -11.22 eV/atom
1.0
0.0001 0.0000 5.7355
8.5909 0.0017 0.0001
0.0017 8.5913 -0.0001
Mn As O
4 8 16
direct
0.7500 0.0000 0.5000
0.7500 0.5000 0.0000
0.2500 0.0000 0.5000
0.2500 0.5000 0.0000
0.5000 0.1746 0.8097
0.0000 0.1902 0.1747
0.0000 0.3097 0.6746
0.5000 0.3253 0.3098
0.5000 0.6747 0.6902
0.0000 0.6903 0.3254
0.0000 0.8098 0.8252
0.5000 0.8254 0.1903
0.0000 0.1103 0.6413
0.5000 0.1413 0.6103
0.5000 0.3586 0.1104
0.0000 0.3896 0.1414
0.0000 0.6103 0.8586
0.5000 0.6414 0.8896
0.5000 0.8587 0.3897
0.0000 0.8897 0.3587
0.2500 0.1850 0.3150
0.7500 0.1850 0.3150
0.2500 0.3148 0.8149
0.7500 0.3148 0.8149
0.2500 0.6851 0.1851
0.7500 0.6852 0.1851
0.2500 0.8150 0.6850
0.7500 0.8150 0.6850


(3)
RbMn4As3O12 | the Materials Project | r²SCAN | relaxed; crystal system = orthorhombic; ΔE_f = -1.7826 eV per atom; calculated total energy = -11.21 eV/atom
1.0
-5.9296 -1.4944 -2.3081
1.4458 -9.6873 2.5580
-6.8985 3.1173 15.7044
Rb Mn As O
4 16 12 48
direct
0.5000 0.1939 0.9648
0.5000 0.8061 0.0352
0.0000 0.6939 0.5352
0.0000 0.3061 0.4648
0.7540 0.7467 0.2990
0.7540 0.2533 0.7010
0.7460 0.2467 0.2010
0.7460 0.7533 0.7990
0.2460 0.2533 0.7010
0.2460 0.7467 0.2990
0.2540 0.7533 0.7990
0.2540 0.2467 0.2010
0.5000 0.5250 0.6455
0.5000 0.4750 0.3545
0.0000 0.0250 0.8545
0.0000 0.9750 0.1455
0.5000 0.9605 0.5912
0.5000 0.0395 0.4088
0.0000 0.4605 0.9088
0.0000 0.5395 0.0912
0.5000 0.2951 0.5376
0.5000 0.7049 0.4624
0.0000 0.7951 0.9624
0.0000 0.2049 0.0376
0.5000 0.0451 0.7769
0.5000 0.9549 0.2231
0.0000 0.5451 0.7231
0.0000 0.4549 0.2769
0.5000 0.4555 0.8350
0.5000 0.5445 0.1650
0.0000 0.9555 0.6650
0.0000 0.0445 0.3350
0.5000 0.1294 0.5209
0.5000 0.8706 0.4791
0.0000 0.6294 0.9791
0.0000 0.3706 0.0209
0.7163 0.8918 0.1845
0.7163 0.1082 0.8155
0.7837 0.3918 0.3155
0.7837 0.6082 0.6845
0.2837 0.1082 0.8155
0.2837 0.8918 0.1845
0.2163 0.6082 0.6845
0.2163 0.3918 0.3155
0.7034 0.6551 0.4074
0.7034 0.3449 0.5926
0.7966 0.1551 0.0926
0.7966 0.8449 0.9074
0.2966 0.3449 0.5926
0.2966 0.6551 0.4074
0.2034 0.8449 0.9074
0.7095 0.5956 0.1182
0.5000 0.6336 0.5490
0.5000 0.3664 0.4510
0.0000 0.1336 0.9510
0.0000 0.8664 0.0490
0.5000 0.3845 0.7435
0.5000 0.6155 0.2565
0.0000 0.8845 0.7565
0.0000 0.1155 0.2435
0.5000 0.1123 0.6855
0.5000 0.8877 0.3145
0.0000 0.6123 0.8145
0.0000 0.3877 0.1855
0.0000 0.1236 0.6771
0.0000 0.8764 0.3229
0.5000 0.6236 0.8229
0.5000 0.3764 0.1771
0.0000 0.6222 0.2705
0.0000 0.3778 0.7295
0.5000 0.1222 0.2295
0.5000 0.8778 0.7705
0.2095 0.0956 0.3818
0.2095 0.9044 0.6182
0.2905 0.5956 0.1182
0.2905 0.4044 0.8818
0.7905 0.9044 0.6182
0.7905 0.0956 0.3818
0.7095 0.4044 0.8818
0.2034 0.1551 0.0926


(4)
Rb4MnAs2S8 | the Materials Project | r²SCAN | relaxed; crystal system = triclinic; ΔE_f = -0.9215 eV per atom; calculated total energy = -11.86 eV/atom
1.0
9.1209 -0.0485 -0.0011
-0.3994 9.2456 0.0036
-2.7608 -3.1680 10.4179
Rb Mn As S
8 2 4 16
direct
0.4334 0.5168 0.7502
0.5666 0.4832 0.2498
0.2641 0.9833 0.9594
0.7359 0.0167 0.0406
0.1020 0.7405 0.5193
0.8980 0.2595 0.4807
0.8809 0.3185 0.8797
0.1191 0.6815 0.1203
0.6492 0.8627 0.5742
0.3508 0.1373 0.4258
0.4531 0.1114 0.7266
0.5469 0.8886 0.2734
0.8663 0.6874 0.7555
0.1337 0.3126 0.2445
0.5143 0.2589 0.9177
0.4857 0.7411 0.0823
0.4732 0.8790 0.7272
0.5268 0.1210 0.2728
0.2305 0.1325 0.6120
0.7695 0.8675 0.3880
0.9045 0.9235 0.7541
0.0955 0.0765 0.2459
0.0714 0.5793 0.7592
0.9286 0.4207 0.2408
0.6035 0.1652 0.6151
0.3965 0.8348 0.3849
0.7852 0.6691 0.9152
0.2148 0.3309 0.0848
0.6903 0.5875 0.5760
0.3097 0.4125 0.4240


(5)
MnAsRh | the Materials Project | r²SCAN | relaxed; crystal system = hexagonal; ΔE_f = -0.5639 eV per atom; calculated total energy = -18.41 eV/atom
1.0
-6.4566 -0.7543 0.1453
3.8377 -5.0833 -1.3021
0.1740 -0.7937 3.6115
Mn As Rh
3 3 3
direct
0.4126 0.4126 0.5000
0.0000 0.5875 0.5000
0.5873 0.0000 0.5000
0.9999 0.0001 0.5000
0.6667 0.3333 0.0000
0.3334 0.6666 0.0000
0.2570 0.9999 0.0000
0.7430 0.7429 0.0000
0.0001 0.2572 0.0000


(6)
TiMnAs | the Materials Project | r²SCAN | relaxed; crystal system = orthorhombic; ΔE_f = -0.7675 eV per atom; calculated total energy = -14.88 eV/atom
1.0
3.2635 -5.6485 0.0000
3.2619 5.6476 0.0000
0.0000 0.0000 3.6660
Ti Mn As
3 3 3
direct
0.5812 0.9996 0.0000
0.9998 0.5818 0.0000
0.4195 0.4193 0.0000
0.2533 0.0011 0.5000
0.0007 0.2525 0.5000
0.7462 0.7466 0.5000
0.3324 0.6667 0.5000
0.6675 0.3331 0.5000
0.9995 0.9992 0.0000


(7)
YbMn2As2 | the Materials Project | r²SCAN | relaxed; crystal system = trigonal; ΔE_f = -0.8639 eV per atom; calculated total energy = -19.93 eV/atom
1.0
2.6965 3.0714 -0.5643
-3.3614 -0.2571 -2.3786
-3.4607 3.8600 4.4732
Yb Mn As
1 2 2
direct
0.0000 0.0000 0.0000
0.6667 0.3333 0.3713
0.3333 0.6667 0.6287
0.6667 0.3333 0.7622
0.3333 0.6667 0.2378


(8)
NaMoAsO6 | the Materials Project | r²SCAN | relaxed; crystal system = orthorhombic; ΔE_f = -1.8606 eV per atom; calculated total energy = -10.77 eV/atom
1.0
6.5641 0.0000 0.0000
0.0000 10.0898 0.0000
0.0000 0.0000 14.9357
Na Mo As O
8 8 8 48
direct
0.7640 0.3073 0.5609
0.2360 0.8073 0.4391
0.7640 0.8073 0.9391
0.2733 0.3362 0.6876
0.7267 0.3362 0.1876
0.7267 0.8362 0.3124
0.2733 0.8362 0.8124
0.2360 0.3073 0.0609
0.0140 0.5040 0.8504
0.4897 0.1438 0.4003
0.9860 0.5040 0.3504
0.9860 0.0040 0.1496
0.5103 0.6438 0.5997
0.5103 0.1438 0.9003
0.0140 0.0040 0.6496
0.4897 0.6438 0.0997
0.4923 0.9839 0.1054
0.0141 0.1631 0.8556
0.4923 0.4839 0.3946
0.9859 0.1631 0.3556
0.0141 0.6631 0.6444
0.9859 0.6631 0.1444
0.5077 0.4839 0.8946
0.5077 0.9839 0.6054
0.6870 0.9911 0.1812
0.9760 0.3021 0.2945
0.5026 0.3454 0.4562
0.2090 0.1534 0.9309
0.2090 0.6534 0.5691
0.4974 0.3454 0.9562
0.0177 0.6708 0.8721
0.4984 0.6248 0.4554
0.5195 0.7110 0.2036
0.0177 0.1708 0.6279
0.8008 0.6654 0.5789
0.8008 0.1655 0.9211
0.5195 0.2110 0.2964
0.4984 0.1248 0.0446
0.7221 0.9859 0.6701
0.1992 0.1655 0.4211
0.0240 0.8021 0.7055
0.7910 0.6534 0.0691
0.9608 0.9362 0.0456
0.0240 0.3021 0.7945
0.6870 0.4911 0.3188
0.1992 0.6654 0.0789
0.4805 0.7110 0.7036
0.5026 0.8454 0.0438
0.9608 0.4362 0.4544
0.2779 0.9859 0.1701
0.0166 0.0230 0.7940
0.0166 0.5230 0.7060
0.9834 0.0230 0.2940
0.4805 0.2110 0.7964
0.9834 0.5230 0.2060
0.7221 0.4859 0.8299
0.4974 0.8454 0.5438
0.7910 0.1534 0.4309
0.0392 0.9362 0.5456
0.9823 0.1708 0.1279
0.2779 0.4859 0.3299
0.5016 0.1248 0.5446
0.5176 0.9770 0.8785
0.5176 0.4770 0.6215
0.0392 0.4362 0.9544
0.3130 0.9911 0.6812
0.5016 0.6248 0.9554
0.9823 0.6708 0.3721
0.3130 0.4911 0.8188
0.4824 0.4770 0.1215
0.9760 0.8021 0.2055
0.4824 0.9770 0.3785


(9)
MoAs2O7 | the Materials Project | r²SCAN | relaxed; crystal system = monoclinic; ΔE_f = -1.5881 eV per atom; calculated total energy = -11.32 eV/atom
1.0
4.5790 0.0000 0.0000
0.0000 7.7956 -0.0452
0.0000 5.1744 16.1026
Mo As O
4 8 28
direct
0.9999 0.0643 0.0984
0.4999 0.9357 0.4016
0.0001 0.9357 0.9016
0.5001 0.0643 0.5984
0.5455 0.4007 0.2133
0.0455 0.5993 0.2867
0.4545 0.5993 0.7867
0.9545 0.4007 0.7133
0.4583 0.7684 0.0581
0.9583 0.2316 0.4419
0.0417 0.7684 0.5581
0.5417 0.2316 0.9419
0.1764 0.4443 0.2333
0.6764 0.5557 0.2667
0.8236 0.5557 0.7667
0.3236 0.4443 0.7333
0.7824 0.9838 0.1812
0.2824 0.0162 0.3188
0.2176 0.0162 0.8188
0.7176 0.9838 0.6812
0.2544 0.7520 0.9769
0.7544 0.2480 0.5231
0.7456 0.2480 0.0231
0.2456 0.7520 0.4769
0.2485 0.8437 0.6246
0.7485 0.1563 0.8754
0.7515 0.1563 0.3754
0.2515 0.8437 0.1246
0.9178 0.5584 0.6070
0.4178 0.4416 0.8930
0.0822 0.4416 0.3930
0.5822 0.5584 0.1070
0.7578 0.9007 0.0250
0.7786 0.7876 0.8767
0.7214 0.7876 0.3767
0.2214 0.2124 0.1233
0.7422 0.9007 0.5250
0.2422 0.0993 0.9750
0.2578 0.0993 0.4750
0.2786 0.2124 0.6233


(10)
MoAs2O7 | the Materials Project | r²SCAN | relaxed; crystal system = monoclinic; ΔE_f = -1.5516 eV per atom; calculated total energy = -11.28 eV/atom
1.0
-5.3749 6.8203 2.5118
-5.9790 -4.5245 -0.5090
0.1196 -3.2740 9.1458
Mo As O
4 8 28
direct
0.9539 0.1953 0.6873
0.4539 0.8047 0.8127
0.0461 0.8047 0.3127
0.5461 0.1953 0.1873
0.7704 0.5667 0.7696
0.2704 0.4333 0.7304
0.2296 0.4333 0.2304
0.7296 0.5667 0.2696
0.7837 0.8292 0.9942
0.2837 0.1708 0.5058
0.2163 0.1708 0.0058
0.7163 0.8292 0.4942
0.6520 0.1790 0.0466
0.1520 0.8210 0.4534
0.3480 0.8210 0.9534
0.8480 0.1790 0.5466
0.5842 0.5884 0.7716
0.0842 0.4116 0.7284
0.4158 0.4116 0.2284
0.9158 0.5884 0.2716
0.8539 0.6386 0.9114
0.3539 0.3614 0.5886
0.1461 0.3614 0.0886
0.6461 0.6386 0.4114
0.8392 0.6827 0.6194
0.3392 0.3173 0.8806
0.1608 0.3173 0.3806
0.6608 0.6827 0.1194
0.8611 0.8836 0.3788
0.3611 0.1164 0.1212
0.1389 0.1164 0.6212
0.6389 0.8836 0.8788
0.6888 0.3483 0.2757
0.1888 0.6517 0.2243
0.3112 0.6517 0.7243
0.8112 0.3483 0.7757
0.5767 0.0116 0.3056
0.0767 0.9884 0.1944
0.4233 0.9884 0.6944
0.9233 0.0116 0.8056


(11)
U2AsN2 | the Materials Project | r²SCAN | relaxed; crystal system = trigonal; ΔE_f = -1.6282 eV per atom; calculated total energy = -40.20 eV/atom
1.0
-1.7655 -0.9422 3.2735
-0.0882 -2.4049 -2.9882
5.7009 -2.9679 2.2204
U As N
2 1 2
direct
0.6667 0.3333 0.7087
0.3333 0.6667 0.2913
0.0000 0.0000 0.0000
0.3333 0.6667 0.6271
0.6667 0.3333 0.3729


(12)
Na5As4 | the Materials Project | r²SCAN | relaxed; crystal system = monoclinic; ΔE_f = -0.5304 eV per atom; calculated total energy = -9.05 eV/atom
1.0
-1.6782 -3.6516 -4.0082
2.8712 -3.0931 -3.7954
0.9333 -8.9066 3.4230
Na As
5 4
direct
0.0996 0.0996 0.6136
0.9004 0.9004 0.3864
0.7549 0.7549 0.8352
0.2451 0.2451 0.1648
0.0000 0.0000 0.0000
0.4558 0.4558 0.8281
0.5442 0.5442 0.1719
0.3931 0.3931 0.6071
0.6069 0.6069 0.3929